(1)
Below is Na3CoAsCO7 after structural relaxation, with properties calculated at the PBE+U level. Values from VASP.

## Properties
total magnetization: 0.00 μB per formula unit
corrected total energy (MP2020 scheme): -6.521 eV per atom
E above lowest polymorph: 0.000 eV/atom

Quantum ESPRESSO input file:
```
&SYSTEM
  ibrav = 0, nat = 52, ntyp = 5
/
ATOMIC_SPECIES
Na 22.99 Na.upf
O 16.00 O.upf
Co 58.93 Co.upf
As 74.92 As.upf
C 12.01 C.upf
CELL_PARAMETERS angstrom
-0.833 -8.534 1.128
3.643 2.881 7.296
-9.661 4.026 -0.440
ATOMIC_POSITIONS crystal
Na 0.546 0.296 0.081
Na 0.503 0.007 0.259
Na 0.757 0.753 0.259
Na 0.954 0.204 0.919
Na 0.454 0.704 0.919
Na 0.003 0.507 0.259
Na 0.046 0.796 0.081
Na 0.497 0.993 0.741
Na 0.257 0.253 0.259
Na 0.243 0.247 0.741
Na 0.743 0.747 0.741
Na 0.997 0.493 0.740
O 0.790 0.540 0.856
O 0.188 0.438 0.918
O 0.766 0.319 0.307
O 0.660 0.910 0.417
O 0.410 0.660 0.120
O 0.210 0.460 0.144
O 0.234 0.681 0.693
O 0.036 0.786 0.447
O 0.812 0.562 0.082
O 0.290 0.040 0.856
O 0.910 0.160 0.120
O 0.090 0.840 0.880
O 0.312 0.062 0.082
O 0.569 0.516 0.307
O 0.964 0.214 0.553
O 0.710 0.960 0.144
O 0.266 0.819 0.307
O 0.931 0.984 0.693
O 0.464 0.714 0.553
O 0.160 0.410 0.417
O 0.431 0.484 0.693
O 0.840 0.590 0.583
O 0.734 0.181 0.693
O 0.688 0.938 0.918
O 0.536 0.286 0.447
O 0.069 0.016 0.307
O 0.340 0.090 0.583
O 0.590 0.340 0.880
Co 0.563 0.313 0.659
Co 0.437 0.687 0.341
Co 0.937 0.187 0.341
Co 0.063 0.813 0.659
As 0.684 0.434 0.417
As 0.316 0.566 0.583
As 0.184 0.934 0.417
As 0.816 0.066 0.583
C 0.268 0.518 0.059
C 0.732 0.482 0.941
C 0.768 0.018 0.059
C 0.232 0.982 0.941
```

***

(2)
Below is LiCrAsCO7 after structural relaxation, with properties calculated at the PBE+U level. Values from VASP.

## Properties
total magnetization: 2.00 μB per formula unit
corrected total energy (MP2020 scheme): -7.339 eV per atom

Quantum ESPRESSO input file:
```
&SYSTEM
  ibrav = 0, nat = 22, ntyp = 5
/
ATOMIC_SPECIES
C 12.01 C.upf
Li 6.94 Li.upf
O 16.00 O.upf
Cr 52.00 Cr.upf
As 74.92 As.upf
CELL_PARAMETERS angstrom
6.459 0.000 0.000
0.000 5.173 0.000
0.000 0.597 8.828
ATOMIC_POSITIONS crystal
C 0.754 0.729 0.064
C 0.254 0.271 0.936
Li 0.996 0.218 0.202
Li 0.496 0.782 0.798
O 0.783 0.547 0.179
O 0.050 0.834 0.318
O 0.730 0.609 0.530
O 0.255 0.039 0.884
O 0.456 0.799 0.310
O 0.550 0.166 0.682
O 0.264 0.860 0.598
O 0.230 0.391 0.470
O 0.283 0.453 0.821
O 0.721 0.676 0.932
O 0.764 0.140 0.402
O 0.956 0.201 0.690
O 0.755 0.961 0.116
O 0.221 0.324 0.068
Cr 0.743 0.800 0.328
Cr 0.243 0.200 0.672
As 0.750 0.282 0.572
As 0.250 0.718 0.428
```

***

(3)
Below is Li2CrAsCO7 after structural relaxation, with properties calculated at the PBE+U level. Values from VASP.

## Properties
total magnetization: 0.00 μB per formula unit
corrected total energy (MP2020 scheme): -7.261 eV per atom

Quantum ESPRESSO input file:
```
&SYSTEM
  ibrav = 0, nat = 48, ntyp = 5
/
ATOMIC_SPECIES
Cr 52.00 Cr.upf
O 16.00 O.upf
C 12.01 C.upf
Li 6.94 Li.upf
As 74.92 As.upf
CELL_PARAMETERS angstrom
0.237 6.586 5.139
0.237 -6.586 5.138
8.624 0.000 0.196
ATOMIC_POSITIONS crystal
Cr 0.771 0.021 0.335
Cr 0.229 0.979 0.665
Cr 0.729 0.479 0.665
Cr 0.271 0.521 0.335
O 0.440 0.392 0.311
O 0.956 0.206 0.397
O 0.859 0.609 0.838
O 0.224 0.474 0.911
O 0.276 0.026 0.089
O 0.818 0.568 0.450
O 0.142 0.690 0.311
O 0.854 0.104 0.113
O 0.544 0.294 0.603
O 0.146 0.896 0.887
O 0.044 0.794 0.603
O 0.641 0.891 0.162
O 0.359 0.109 0.838
O 0.776 0.526 0.090
O 0.182 0.432 0.550
O 0.318 0.068 0.450
O 0.682 0.932 0.550
O 0.642 0.190 0.310
O 0.141 0.391 0.162
O 0.354 0.604 0.113
O 0.724 0.974 0.911
O 0.060 0.108 0.689
O 0.560 0.608 0.689
O 0.358 0.810 0.689
O 0.940 0.892 0.311
O 0.646 0.396 0.887
O 0.858 0.310 0.690
O 0.456 0.706 0.397
C 0.261 0.011 0.945
C 0.761 0.511 0.945
C 0.739 0.989 0.055
C 0.239 0.489 0.055
Li 0.639 0.146 0.786
Li 0.861 0.354 0.214
Li 0.104 0.111 0.214
Li 0.896 0.889 0.786
Li 0.604 0.611 0.214
Li 0.396 0.389 0.786
Li 0.139 0.646 0.786
Li 0.361 0.854 0.214
As 0.014 0.264 0.580
As 0.986 0.736 0.420
As 0.514 0.764 0.580
As 0.486 0.236 0.420
```

***

(4)
Below is Na6Cr2AsC4O16 after structural relaxation, with properties calculated at the PBE+U level. Values from VASP.

## Properties
total magnetization: 7.00 μB per formula unit
corrected total energy (MP2020 scheme): -7.101 eV per atom

Quantum ESPRESSO input file:
```
&SYSTEM
  ibrav = 0, nat = 58, ntyp = 5
/
ATOMIC_SPECIES
O 16.00 O.upf
Na 22.99 Na.upf
C 12.01 C.upf
Cr 52.00 Cr.upf
As 74.92 As.upf
CELL_PARAMETERS angstrom
3.682 5.796 7.245
-4.932 8.209 2.817
-4.492 0.314 8.909
ATOMIC_POSITIONS crystal
O 0.482 0.978 0.226
O 0.313 0.978 0.482
O 0.024 0.768 0.272
O 0.288 0.571 0.571
O 0.024 0.272 0.937
O 0.679 0.679 0.679
O 0.024 0.937 0.768
O 0.313 0.482 0.226
O 0.482 0.313 0.978
O 0.571 0.571 0.571
O 0.937 0.024 0.272
O 0.768 0.272 0.024
O 0.571 0.288 0.571
O 0.571 0.571 0.288
O 0.313 0.226 0.978
O 0.272 0.937 0.024
O 0.768 0.937 0.272
O 0.272 0.768 0.937
O 0.226 0.313 0.482
O 0.937 0.768 0.024
O 0.272 0.024 0.768
O 0.482 0.226 0.313
O 0.226 0.978 0.313
O 0.768 0.024 0.937
O 0.978 0.482 0.313
O 0.937 0.272 0.768
O 0.226 0.482 0.978
O 0.962 0.679 0.679
O 0.679 0.679 0.962
O 0.978 0.313 0.226
O 0.679 0.962 0.679
O 0.978 0.226 0.482
Na 0.709 0.709 0.291
Na 0.291 0.709 0.709
Na 0.541 0.541 0.959
Na 0.541 0.959 0.541
Na 0.959 0.959 0.541
Na 0.709 0.291 0.709
Na 0.291 0.291 0.709
Na 0.959 0.541 0.541
Na 0.541 0.959 0.959
Na 0.709 0.291 0.291
Na 0.959 0.541 0.959
Na 0.291 0.709 0.291
C 0.340 0.340 0.981
C 0.981 0.340 0.340
C 0.910 0.910 0.910
C 0.340 0.340 0.340
C 0.910 0.269 0.910
C 0.269 0.910 0.910
C 0.910 0.910 0.269
C 0.340 0.981 0.340
Cr 0.625 0.125 0.125
Cr 0.125 0.625 0.125
Cr 0.125 0.125 0.625
Cr 0.125 0.125 0.125
As 0.500 0.500 0.500
As 0.750 0.750 0.750
```

***

Repeat the first record exactly.
Below is Na3CoAsCO7 after structural relaxation, with properties calculated at the PBE+U level. Values from VASP.

## Properties
total magnetization: 0.00 μB per formula unit
corrected total energy (MP2020 scheme): -6.521 eV per atom
E above lowest polymorph: 0.000 eV/atom

Quantum ESPRESSO input file:
```
&SYSTEM
  ibrav = 0, nat = 52, ntyp = 5
/
ATOMIC_SPECIES
Na 22.99 Na.upf
O 16.00 O.upf
Co 58.93 Co.upf
As 74.92 As.upf
C 12.01 C.upf
CELL_PARAMETERS angstrom
-0.833 -8.534 1.128
3.643 2.881 7.296
-9.661 4.026 -0.440
ATOMIC_POSITIONS crystal
Na 0.546 0.296 0.081
Na 0.503 0.007 0.259
Na 0.757 0.753 0.259
Na 0.954 0.204 0.919
Na 0.454 0.704 0.919
Na 0.003 0.507 0.259
Na 0.046 0.796 0.081
Na 0.497 0.993 0.741
Na 0.257 0.253 0.259
Na 0.243 0.247 0.741
Na 0.743 0.747 0.741
Na 0.997 0.493 0.740
O 0.790 0.540 0.856
O 0.188 0.438 0.918
O 0.766 0.319 0.307
O 0.660 0.910 0.417
O 0.410 0.660 0.120
O 0.210 0.460 0.144
O 0.234 0.681 0.693
O 0.036 0.786 0.447
O 0.812 0.562 0.082
O 0.290 0.040 0.856
O 0.910 0.160 0.120
O 0.090 0.840 0.880
O 0.312 0.062 0.082
O 0.569 0.516 0.307
O 0.964 0.214 0.553
O 0.710 0.960 0.144
O 0.266 0.819 0.307
O 0.931 0.984 0.693
O 0.464 0.714 0.553
O 0.160 0.410 0.417
O 0.431 0.484 0.693
O 0.840 0.590 0.583
O 0.734 0.181 0.693
O 0.688 0.938 0.918
O 0.536 0.286 0.447
O 0.069 0.016 0.307
O 0.340 0.090 0.583
O 0.590 0.340 0.880
Co 0.563 0.313 0.659
Co 0.437 0.687 0.341
Co 0.937 0.187 0.341
Co 0.063 0.813 0.659
As 0.684 0.434 0.417
As 0.316 0.566 0.583
As 0.184 0.934 0.417
As 0.816 0.066 0.583
C 0.268 0.518 0.059
C 0.732 0.482 0.941
C 0.768 0.018 0.059
C 0.232 0.982 0.941
```

***

> Which value of corrected total energy (MP2020 scheme) does entry 2 give?

-7.339 eV per atom